Compound: Ti4S8N
Source: the Materials Project database
Functional: GGA-PBE
Structure: relaxed

* energy relative to the elements: -1.112 eV/atom
* VASP energy: -6.39 eV per atom
* corrected total energy (MP2020 scheme): -6.729 eV per atom

The structure in CIF format:
```
data_Ti4S8N
_chemical_formula_sum 'Ti4 S8 N1'
_space_group_name_H-M_alt 'P 1 m 1'
_space_group_IT_number 6
_space_group_name_Hall 'P -2y'
_cell_length_a 5.889
_cell_length_b 3.420
_cell_length_c 14.798
_cell_angle_alpha 90.00
_cell_angle_beta 97.65
_cell_angle_gamma 90.00
loop_
_atom_site_label
_atom_site_type_symbol
_atom_site_fract_x
_atom_site_fract_y
_atom_site_fract_z
Ti1 Ti 0.000 0.000 0.000
Ti2 Ti 0.138 0.000 0.406
Ti3 Ti 0.500 0.500 0.000
Ti4 Ti 0.638 0.500 0.406
S1 S 0.001 0.500 0.503
S2 S 0.136 0.500 0.903
S3 S 0.269 0.500 0.309
S4 S 0.368 0.000 0.097
S5 S 0.502 0.000 0.503
S6 S 0.636 0.000 0.903
S7 S 0.770 0.000 0.309
S8 S 0.868 0.500 0.097
N1 N 0.736 0.500 0.704
```